Entry 1:
The following is a DFT calculation (PBE) of Pr3InSe6 after structural relaxation.

Cell and atoms, written as POSCAR:
```
Pr3InSe6
1.0
-2.8284 3.0672 0.1429
-4.6493 -3.6685 -13.2852
-11.7622 -11.1821 7.2041
Pr In Se
12 4 24
Direct
0.5000 0.6864 0.3545
0.5000 0.3136 0.6455
0.0000 0.1864 0.1455
0.0000 0.8136 0.8545
0.0000 0.7480 0.1056
0.0000 0.2520 0.8944
0.5000 0.2480 0.3944
0.5000 0.7520 0.6056
0.0000 0.9586 0.2770
0.0000 0.0414 0.7230
0.5000 0.4586 0.2230
0.5000 0.5414 0.7770
0.0000 0.5000 0.0000
0.5000 0.0000 0.5000
0.0000 0.5000 0.5000
0.5000 0.0000 0.0000
0.0000 0.9769 0.1030
0.0000 0.0231 0.8970
0.5000 0.4769 0.3970
0.5000 0.5231 0.6030
0.0000 0.6895 0.4808
0.0000 0.3105 0.5192
0.5000 0.1895 0.0192
0.5000 0.8105 0.9808
0.5000 0.8875 0.3855
0.5000 0.1125 0.6145
0.0000 0.3875 0.1145
0.0000 0.6125 0.8855
0.0000 0.6114 0.2512
0.0000 0.3886 0.7488
0.5000 0.1114 0.2488
0.5000 0.8886 0.7512
0.0000 0.9062 0.5851
0.0000 0.0938 0.4149
0.5000 0.4062 0.9149
0.5000 0.5938 0.0851
0.0000 0.6822 0.7153
0.0000 0.3178 0.2847
0.5000 0.1822 0.7847
0.5000 0.8178 0.2153
```

Computed properties:
Formation enthalpy at 0 K, eV/atom: -1.836
Crystal system: orthorhombic

---

Entry 2:
The following is a DFT calculation (PBE) of NaCuN after structural relaxation.

Cell and atoms, written as POSCAR:
```
NaCuN
1.0
3.3534 0.0000 0.0000
-1.6767 2.8148 0.0000
0.0000 0.0000 4.2299
Na Cu N
1 1 1
Direct
0.4551 0.9103 0.0000
0.1080 0.2160 0.5000
0.7703 0.5405 0.5000
```

Computed properties:
Formation enthalpy at 0 K, eV/atom: 0.167
Magnetization, μB/cell: 0.0
Crystal system: orthorhombic

---

Entry 3:
The following is a DFT calculation (PBE) of Al2O3 after structural relaxation.

Cell and atoms, written as POSCAR:
```
Al2O3
1.0
10.5478 -0.0246 -0.1984
-0.0283 10.1414 -0.1969
-0.2028 -0.1995 10.2396
Al O
40 60
Direct
0.4646 0.1610 0.8976
0.0993 0.0156 0.5261
0.3707 0.0084 0.0960
0.1418 0.7165 0.3997
0.7531 0.8608 0.1168
0.3505 0.5094 0.1514
0.0024 0.2808 0.6952
0.3869 0.1903 0.5884
0.2213 0.2431 0.8883
0.5539 0.4463 0.5619
0.4493 0.7449 0.5446
0.1252 0.5621 0.9402
0.6513 0.9099 0.6553
0.8553 0.0547 0.6999
0.6454 0.1951 0.4470
0.7584 0.6332 0.7269
0.8595 0.4215 0.9053
0.9024 0.7760 0.5394
0.1197 0.9940 0.2216
0.3755 0.7447 0.2820
0.9451 0.1120 0.0090
0.3495 0.6210 0.7341
0.4723 0.7268 0.9867
0.0324 0.7165 0.1462
0.0614 0.8948 0.9029
0.5031 0.4223 0.9168
0.0607 0.5509 0.6672
0.5826 0.4258 0.2410
0.7310 0.6054 0.0477
0.6768 0.7114 0.3446
0.6750 0.2320 0.7336
0.2169 0.1965 0.3590
0.4099 0.9727 0.4209
0.3253 0.9365 0.8017
0.8183 0.4668 0.5003
0.8933 0.5333 0.2280
0.0919 0.3546 0.1217
0.2577 0.4592 0.4017
0.8259 0.2655 0.2558
0.6580 0.1200 0.1487
0.8642 0.7294 0.0917
0.0368 0.5293 0.1190
0.3000 0.0917 0.9450
0.9451 0.2314 0.1496
0.7449 0.5533 0.8761
0.7521 0.1997 0.5821
0.3844 0.6783 0.1195
0.2711 0.0613 0.5044
0.5171 0.4727 0.0810
0.9935 0.1146 0.6209
0.4168 0.0797 0.7356
0.9840 0.6637 0.3145
0.8765 0.4076 0.3456
0.5151 0.0955 0.0599
0.7142 0.8588 0.2789
0.1649 0.2790 0.7321
0.0017 0.4805 0.8432
0.6435 0.7521 0.7127
0.4192 0.9158 0.2474
0.6855 0.0531 0.7574
0.1421 0.8246 0.2437
0.1563 0.5751 0.5169
0.5169 0.6851 0.3824
0.8550 0.2683 0.8058
0.8242 0.4537 0.0713
0.2925 0.3073 0.4875
0.1618 0.9193 0.7760
0.0815 0.2410 0.9787
0.7081 0.4875 0.6325
0.1972 0.5842 0.7805
0.5304 0.9016 0.5317
0.3145 0.8069 0.4408
0.7889 0.6533 0.4684
0.2568 0.6038 0.2993
0.7796 0.0278 0.0700
0.9308 0.0064 0.8553
0.3772 0.3131 0.8869
0.6071 0.2830 0.8846
0.3762 0.7882 0.7027
0.7045 0.5738 0.2307
0.4168 0.4257 0.2899
0.5218 0.3004 0.6435
0.0894 0.7346 0.9787
0.6728 0.2936 0.1702
0.3920 0.8754 0.9584
0.7362 0.1292 0.3181
0.1636 0.3458 0.2827
0.4886 0.1325 0.4443
0.6336 0.7525 0.0297
0.8120 0.9122 0.5947
0.9600 0.4163 0.5942
0.0738 0.0860 0.3645
0.6344 0.3814 0.4174
0.4558 0.5862 0.8673
0.4316 0.5648 0.5879
0.2597 0.0955 0.2114
0.9255 0.6723 0.6803
0.0473 0.9813 0.0649
0.2303 0.4499 0.0344
0.0534 0.8441 0.5026
```

Computed properties:
Formation enthalpy at 0 K, eV/atom: -3.207
Magnetization, μB/cell: 0.0
Crystal system: triclinic

---

Entry 4:
The following is a DFT calculation (PBE) of Ce2BPd6 after structural relaxation.

Cell and atoms, written as POSCAR:
```
Ce2BPd6
1.0
4.3662 0.0000 0.0000
0.0000 4.3662 0.0000
0.0000 0.0000 8.2362
Ce B Pd
2 1 6
Direct
0.0000 0.0000 0.9963
0.0000 0.0000 0.5037
0.5000 0.5000 0.2500
0.5000 0.5000 0.9876
0.5000 0.5000 0.5124
0.5000 0.0000 0.2500
0.5000 0.0000 0.7500
0.0000 0.5000 0.2500
0.0000 0.5000 0.7500
```

Computed properties:
Formation enthalpy at 0 K, eV/atom: -0.649
Magnetization, μB/cell: 1.4
Crystal system: tetragonal